Record 1
# r²SCAN ThSiPt, optimized geometry
# E_form (kJ/mol of formula units): -369
# Space group: I4_1md, No. 109
# Mass density (Mg/m³): 11.80
data_ThSiPt
_chemical_formula_sum 'Th2 Si2 Pt2'
_cell_length_a 7.936
_cell_length_b 7.936
_cell_length_c 7.936
_cell_angle_alpha 149.54
_cell_angle_beta 149.54
_cell_angle_gamma 43.62
_space_group_name_H-M_alt 'P 1'
_space_group_IT_number 1
_space_group_name_Hall 'P 1'
loop_
_atom_site_label
_atom_site_type_symbol
_atom_site_fract_x
_atom_site_fract_y
_atom_site_fract_z
Th1 Th 0.000 0.000 0.000
Th2 Th 0.750 0.250 0.500
Si1 Si 0.330 0.830 0.500
Si2 Si 0.580 0.580 0.000
Pt1 Pt 0.164 0.664 0.500
Pt2 Pt 0.414 0.414 0.000

Record 2
# r²SCAN TlSiPt5, optimized geometry
# E_form (kJ/mol of formula units): -261
# Space group: P4/mmm, No. 123
# Mass density (Mg/m³): 17.58
data_TlSiPt5
_chemical_formula_sum 'Tl1 Si1 Pt5'
_cell_length_a 3.972
_cell_length_b 3.972
_cell_length_c 7.229
_cell_angle_alpha 90.00
_cell_angle_beta 90.00
_cell_angle_gamma 90.00
_space_group_name_H-M_alt 'P 1'
_space_group_IT_number 1
_space_group_name_Hall 'P 1'
loop_
_atom_site_label
_atom_site_type_symbol
_atom_site_fract_x
_atom_site_fract_y
_atom_site_fract_z
Tl1 Tl 0.000 0.000 0.000
Si1 Si 0.500 0.500 0.500
Pt1 Pt 0.000 0.500 0.302
Pt2 Pt 0.000 0.500 0.698
Pt3 Pt 0.500 0.000 0.302
Pt4 Pt 0.500 0.000 0.698
Pt5 Pt 0.500 0.500 0.000

Record 3
# r²SCAN TmSiPt2, optimized geometry
# E_form (kJ/mol of formula units): -495
# Space group: Pnma, No. 62
# Mass density (Mg/m³): 14.33
data_TmSiPt2
_chemical_formula_sum 'Tm4 Si4 Pt8'
_cell_length_a 7.206
_cell_length_b 6.923
_cell_length_c 5.454
_cell_angle_alpha 90.00
_cell_angle_beta 90.00
_cell_angle_gamma 90.00
_space_group_name_H-M_alt 'P 1'
_space_group_IT_number 1
_space_group_name_Hall 'P 1'
loop_
_atom_site_label
_atom_site_type_symbol
_atom_site_fract_x
_atom_site_fract_y
_atom_site_fract_z
Tm1 Tm 0.026 0.250 0.137
Tm2 Tm 0.474 0.750 0.637
Tm3 Tm 0.526 0.250 0.363
Tm4 Tm 0.974 0.750 0.863
Si1 Si 0.120 0.750 0.365
Si2 Si 0.380 0.250 0.865
Si3 Si 0.620 0.750 0.135
Si4 Si 0.880 0.250 0.635
Pt1 Pt 0.183 0.050 0.591
Pt2 Pt 0.183 0.450 0.591
Pt3 Pt 0.317 0.550 0.091
Pt4 Pt 0.317 0.950 0.091
Pt5 Pt 0.683 0.050 0.909
Pt6 Pt 0.683 0.450 0.909
Pt7 Pt 0.817 0.550 0.409
Pt8 Pt 0.817 0.950 0.409

Record 4
# r²SCAN TmSi2Pt2, optimized geometry
# E_form (kJ/mol of formula units): -519
# Space group: I4/mmm, No. 139
# Mass density (Mg/m³): 12.19
data_TmSi2Pt2
_chemical_formula_sum 'Tm1 Si2 Pt2'
_cell_length_a 5.719
_cell_length_b 5.719
_cell_length_c 5.719
_cell_angle_alpha 137.68
_cell_angle_beta 137.68
_cell_angle_gamma 61.40
_space_group_name_H-M_alt 'P 1'
_space_group_IT_number 1
_space_group_name_Hall 'P 1'
loop_
_atom_site_label
_atom_site_type_symbol
_atom_site_fract_x
_atom_site_fract_y
_atom_site_fract_z
Tm1 Tm 0.000 0.000 0.000
Si1 Si 0.384 0.384 0.000
Si2 Si 0.616 0.616 0.000
Pt1 Pt 0.250 0.750 0.500
Pt2 Pt 0.750 0.250 0.500

Record 5
# r²SCAN USi2Pt2, optimized geometry
# E_form (kJ/mol of formula units): -458
# Space group: P4/nmm, No. 129
# Mass density (Mg/m³): 13.09
data_USi2Pt2
_chemical_formula_sum 'U2 Si4 Pt4'
_cell_length_a 4.202
_cell_length_b 4.202
_cell_length_c 9.833
_cell_angle_alpha 90.00
_cell_angle_beta 90.00
_cell_angle_gamma 90.00
_space_group_name_H-M_alt 'P 1'
_space_group_IT_number 1
_space_group_name_Hall 'P 1'
loop_
_atom_site_label
_atom_site_type_symbol
_atom_site_fract_x
_atom_site_fract_y
_atom_site_fract_z
U1 U 0.250 0.250 0.246
U2 U 0.750 0.750 0.754
Si1 Si 0.250 0.250 0.633
Si2 Si 0.250 0.750 0.000
Si3 Si 0.750 0.250 0.000
Si4 Si 0.750 0.750 0.367
Pt1 Pt 0.250 0.250 0.877
Pt2 Pt 0.250 0.750 0.500
Pt3 Pt 0.750 0.250 0.500
Pt4 Pt 0.750 0.750 0.123

Record 6
# r²SCAN YbSi2Pt2, optimized geometry
# E_form (kJ/mol of formula units): -514
# Space group: I4/mmm, No. 139
# Mass density (Mg/m³): 12.29
data_YbSi2Pt2
_chemical_formula_sum 'Yb1 Si2 Pt2'
_cell_length_a 5.698
_cell_length_b 5.698
_cell_length_c 5.698
_cell_angle_alpha 137.43
_cell_angle_beta 137.43
_cell_angle_gamma 61.78
_space_group_name_H-M_alt 'P 1'
_space_group_IT_number 1
_space_group_name_Hall 'P 1'
loop_
_atom_site_label
_atom_site_type_symbol
_atom_site_fract_x
_atom_site_fract_y
_atom_site_fract_z
Yb1 Yb 0.000 0.000 0.000
Si1 Si 0.383 0.383 0.000
Si2 Si 0.617 0.617 0.000
Pt1 Pt 0.250 0.750 0.500
Pt2 Pt 0.750 0.250 0.500

Record 7
# r²SCAN SmPt3, optimized geometry
# E_form (kJ/mol of formula units): -381
# Space group: Pm-3m, No. 221
# Mass density (Mg/m³): 17.13
data_SmPt3
_chemical_formula_sum 'Sm1 Pt3'
_cell_length_a 4.147
_cell_length_b 4.147
_cell_length_c 4.147
_cell_angle_alpha 90.00
_cell_angle_beta 90.00
_cell_angle_gamma 90.00
_space_group_name_H-M_alt 'P 1'
_space_group_IT_number 1
_space_group_name_Hall 'P 1'
loop_
_atom_site_label
_atom_site_type_symbol
_atom_site_fract_x
_atom_site_fract_y
_atom_site_fract_z
Sm1 Sm 0.000 0.000 0.000
Pt1 Pt 0.000 0.500 0.500
Pt2 Pt 0.500 0.000 0.500
Pt3 Pt 0.500 0.500 0.000

Record 8
# r²SCAN YbSmPt2, optimized geometry
# E_form (kJ/mol of formula units): -497
# Space group: Fm-3m, No. 225
# Mass density (Mg/m³): 14.01
data_YbSmPt2
_chemical_formula_sum 'Yb1 Sm1 Pt2'
_cell_length_a 4.927
_cell_length_b 4.927
_cell_length_c 4.927
_cell_angle_alpha 60.00
_cell_angle_beta 60.00
_cell_angle_gamma 60.00
_space_group_name_H-M_alt 'P 1'
_space_group_IT_number 1
_space_group_name_Hall 'P 1'
loop_
_atom_site_label
_atom_site_type_symbol
_atom_site_fract_x
_atom_site_fract_y
_atom_site_fract_z
Yb1 Yb 0.000 0.000 0.000
Sm1 Sm 0.500 0.500 0.500
Pt1 Pt 0.250 0.250 0.250
Pt2 Pt 0.750 0.750 0.750

Record 9
# r²SCAN SnPt, optimized geometry
# E_form (kJ/mol of formula units): -119
# Space group: P6_3/mmc, No. 194
# Mass density (Mg/m³): 12.80
data_SnPt
_chemical_formula_sum 'Sn2 Pt2'
_cell_length_a 4.144
_cell_length_b 4.144
_cell_length_c 5.476
_cell_angle_alpha 90.00
_cell_angle_beta 90.00
_cell_angle_gamma 120.00
_space_group_name_H-M_alt 'P 1'
_space_group_IT_number 1
_space_group_name_Hall 'P 1'
loop_
_atom_site_label
_atom_site_type_symbol
_atom_site_fract_x
_atom_site_fract_y
_atom_site_fract_z
Sn1 Sn 0.333 0.667 0.250
Sn2 Sn 0.667 0.333 0.750
Pt1 Pt 0.000 0.000 0.000
Pt2 Pt 0.000 0.000 0.500

Record 10
# r²SCAN TbSnPt, optimized geometry
# E_form (kJ/mol of formula units): -349
# Space group: P-62m, No. 189
# Mass density (Mg/m³): 12.05
data_TbSnPt
_chemical_formula_sum 'Tb3 Sn3 Pt3'
_cell_length_a 7.486
_cell_length_b 7.486
_cell_length_c 4.025
_cell_angle_alpha 90.00
_cell_angle_beta 90.00
_cell_angle_gamma 120.00
_space_group_name_H-M_alt 'P 1'
_space_group_IT_number 1
_space_group_name_Hall 'P 1'
loop_
_atom_site_label
_atom_site_type_symbol
_atom_site_fract_x
_atom_site_fract_y
_atom_site_fract_z
Tb1 Tb 0.000 0.594 0.000
Tb2 Tb 0.406 0.406 0.000
Tb3 Tb 0.594 0.000 0.000
Sn1 Sn 0.000 0.258 0.500
Sn2 Sn 0.258 0.000 0.500
Sn3 Sn 0.742 0.742 0.500
Pt1 Pt 0.000 0.000 0.000
Pt2 Pt 0.333 0.667 0.500
Pt3 Pt 0.667 0.333 0.500

Record 11
# r²SCAN TbSnPt2, optimized geometry
# E_form (kJ/mol of formula units): -426
# Space group: P6_3/mmc, No. 194
# Mass density (Mg/m³): 13.69
data_TbSnPt2
_chemical_formula_sum 'Tb2 Sn2 Pt4'
_cell_length_a 4.531
_cell_length_b 4.531
_cell_length_c 9.113
_cell_angle_alpha 90.00
_cell_angle_beta 90.00
_cell_angle_gamma 120.00
_space_group_name_H-M_alt 'P 1'
_space_group_IT_number 1
_space_group_name_Hall 'P 1'
loop_
_atom_site_label
_atom_site_type_symbol
_atom_site_fract_x
_atom_site_fract_y
_atom_site_fract_z
Tb1 Tb 0.333 0.667 0.250
Tb2 Tb 0.667 0.333 0.750
Sn1 Sn 0.000 0.000 0.000
Sn2 Sn 0.000 0.000 0.500
Pt1 Pt 0.333 0.667 0.589
Pt2 Pt 0.333 0.667 0.911
Pt3 Pt 0.667 0.333 0.089
Pt4 Pt 0.667 0.333 0.411

Record 12
# r²SCAN SnTePt, optimized geometry
# E_form (kJ/mol of formula units): -164
# Space group: P2_13, No. 198
# Mass density (Mg/m³): 10.45
data_SnTePt
_chemical_formula_sum 'Sn4 Te4 Pt4'
_cell_length_a 6.546
_cell_length_b 6.546
_cell_length_c 6.546
_cell_angle_alpha 90.00
_cell_angle_beta 90.00
_cell_angle_gamma 90.00
_space_group_name_H-M_alt 'P 1'
_space_group_IT_number 1
_space_group_name_Hall 'P 1'
loop_
_atom_site_label
_atom_site_type_symbol
_atom_site_fract_x
_atom_site_fract_y
_atom_site_fract_z
Sn1 Sn 0.127 0.373 0.627
Sn2 Sn 0.373 0.627 0.127
Sn3 Sn 0.627 0.127 0.373
Sn4 Sn 0.873 0.873 0.873
Te1 Te 0.126 0.126 0.126
Te2 Te 0.374 0.874 0.626
Te3 Te 0.626 0.374 0.874
Te4 Te 0.874 0.626 0.374
Pt1 Pt 0.003 0.503 0.997
Pt2 Pt 0.497 0.497 0.497
Pt3 Pt 0.503 0.997 0.003
Pt4 Pt 0.997 0.003 0.503

Record 13
# r²SCAN SrPt5, optimized geometry
# E_form (kJ/mol of formula units): -352
# Space group: P6/mmm, No. 191
# Mass density (Mg/m³): 15.72
data_SrPt5
_chemical_formula_sum 'Sr1 Pt5'
_cell_length_a 5.453
_cell_length_b 5.453
_cell_length_c 4.361
_cell_angle_alpha 90.00
_cell_angle_beta 90.00
_cell_angle_gamma 120.00
_space_group_name_H-M_alt 'P 1'
_space_group_IT_number 1
_space_group_name_Hall 'P 1'
loop_
_atom_site_label
_atom_site_type_symbol
_atom_site_fract_x
_atom_site_fract_y
_atom_site_fract_z
Sr1 Sr 0.000 0.000 0.000
Pt1 Pt 0.000 0.500 0.500
Pt2 Pt 0.333 0.667 0.000
Pt3 Pt 0.500 0.000 0.500
Pt4 Pt 0.500 0.500 0.500
Pt5 Pt 0.667 0.333 0.000

Record 14
# r²SCAN Sr7Pt3, optimized geometry
# E_form (kJ/mol of formula units): -617
# Space group: Pnma, No. 62
# Mass density (Mg/m³): 5.69
data_Sr7Pt3
_chemical_formula_sum 'Sr28 Pt12'
_cell_length_a 7.979
_cell_length_b 24.370
_cell_length_c 7.192
_cell_angle_alpha 90.00
_cell_angle_beta 90.00
_cell_angle_gamma 90.00
_space_group_name_H-M_alt 'P 1'
_space_group_IT_number 1
_space_group_name_Hall 'P 1'
loop_
_atom_site_label
_atom_site_type_symbol
_atom_site_fract_x
_atom_site_fract_y
_atom_site_fract_z
Sr1 Sr 0.044 0.118 0.156
Sr2 Sr 0.044 0.382 0.156
Sr3 Sr 0.167 0.023 0.677
Sr4 Sr 0.167 0.477 0.677
Sr5 Sr 0.176 0.750 0.648
Sr6 Sr 0.180 0.174 0.687
Sr7 Sr 0.180 0.326 0.687
Sr8 Sr 0.320 0.674 0.187
Sr9 Sr 0.320 0.826 0.187
Sr10 Sr 0.324 0.250 0.148
Sr11 Sr 0.333 0.523 0.177
Sr12 Sr 0.333 0.977 0.177
Sr13 Sr 0.456 0.618 0.656
Sr14 Sr 0.456 0.882 0.656
Sr15 Sr 0.544 0.118 0.344
Sr16 Sr 0.544 0.382 0.344
Sr17 Sr 0.667 0.023 0.823
Sr18 Sr 0.667 0.477 0.823
Sr19 Sr 0.676 0.750 0.852
Sr20 Sr 0.680 0.174 0.813
Sr21 Sr 0.680 0.326 0.813
Sr22 Sr 0.820 0.674 0.313
Sr23 Sr 0.820 0.826 0.313
Sr24 Sr 0.824 0.250 0.352
Sr25 Sr 0.833 0.523 0.323
Sr26 Sr 0.833 0.977 0.323
Sr27 Sr 0.956 0.618 0.844
Sr28 Sr 0.956 0.882 0.844
Pt1 Pt 0.021 0.750 0.033
Pt2 Pt 0.123 0.595 0.464
Pt3 Pt 0.123 0.905 0.464
Pt4 Pt 0.377 0.095 0.964
Pt5 Pt 0.377 0.405 0.964
Pt6 Pt 0.479 0.250 0.533
Pt7 Pt 0.521 0.750 0.467
Pt8 Pt 0.623 0.595 0.036
Pt9 Pt 0.623 0.905 0.036
Pt10 Pt 0.877 0.095 0.536
Pt11 Pt 0.877 0.405 0.536
Pt12 Pt 0.979 0.250 0.967

Record 15
# r²SCAN Ta3Pt, optimized geometry
# E_form (kJ/mol of formula units): -96
# Space group: Fm-3m, No. 225
# Mass density (Mg/m³): 17.90
data_Ta3Pt
_chemical_formula_sum 'Ta3 Pt1'
_cell_length_a 4.592
_cell_length_b 4.592
_cell_length_c 4.592
_cell_angle_alpha 60.00
_cell_angle_beta 60.00
_cell_angle_gamma 60.00
_space_group_name_H-M_alt 'P 1'
_space_group_IT_number 1
_space_group_name_Hall 'P 1'
loop_
_atom_site_label
_atom_site_type_symbol
_atom_site_fract_x
_atom_site_fract_y
_atom_site_fract_z
Ta1 Ta 0.000 0.000 0.000
Ta2 Ta 0.250 0.250 0.250
Ta3 Ta 0.750 0.750 0.750
Pt1 Pt 0.500 0.500 0.500

Record 16
# r²SCAN Ta3Pt, optimized geometry
# E_form (kJ/mol of formula units): -95
# Space group: Pm-3m, No. 221
# Mass density (Mg/m³): 17.74
data_Ta3Pt
_chemical_formula_sum 'Ta3 Pt1'
_cell_length_a 4.103
_cell_length_b 4.103
_cell_length_c 4.103
_cell_angle_alpha 90.00
_cell_angle_beta 90.00
_cell_angle_gamma 90.00
_space_group_name_H-M_alt 'P 1'
_space_group_IT_number 1
_space_group_name_Hall 'P 1'
loop_
_atom_site_label
_atom_site_type_symbol
_atom_site_fract_x
_atom_site_fract_y
_atom_site_fract_z
Ta1 Ta 0.000 0.000 0.500
Ta2 Ta 0.000 0.500 0.000
Ta3 Ta 0.500 0.000 0.000
Pt1 Pt 0.500 0.500 0.500

Record 17
# r²SCAN Tb5Pt4, optimized geometry
# E_form (kJ/mol of formula units): -1102
# Space group: Pnma, No. 62
# Mass density (Mg/m³): 12.58
data_Tb5Pt4
_chemical_formula_sum 'Tb20 Pt16'
_cell_length_a 7.510
_cell_length_b 14.606
_cell_length_c 7.583
_cell_angle_alpha 90.00
_cell_angle_beta 90.00
_cell_angle_gamma 90.00
_space_group_name_H-M_alt 'P 1'
_space_group_IT_number 1
_space_group_name_Hall 'P 1'
loop_
_atom_site_label
_atom_site_type_symbol
_atom_site_fract_x
_atom_site_fract_y
_atom_site_fract_z
Tb1 Tb 0.000 0.094 0.180
Tb2 Tb 0.000 0.406 0.180
Tb3 Tb 0.000 0.594 0.820
Tb4 Tb 0.000 0.906 0.820
Tb5 Tb 0.153 0.122 0.668
Tb6 Tb 0.153 0.378 0.668
Tb7 Tb 0.185 0.750 0.513
Tb8 Tb 0.315 0.250 0.013
Tb9 Tb 0.347 0.622 0.168
Tb10 Tb 0.347 0.878 0.168
Tb11 Tb 0.500 0.094 0.320
Tb12 Tb 0.500 0.406 0.320
Tb13 Tb 0.500 0.594 0.680
Tb14 Tb 0.500 0.906 0.680
Tb15 Tb 0.653 0.122 0.832
Tb16 Tb 0.653 0.378 0.832
Tb17 Tb 0.685 0.750 0.987
Tb18 Tb 0.815 0.250 0.487
Tb19 Tb 0.847 0.622 0.332
Tb20 Tb 0.847 0.878 0.332
Pt1 Pt 0.051 0.750 0.113
Pt2 Pt 0.182 0.250 0.360
Pt3 Pt 0.186 0.542 0.468
Pt4 Pt 0.186 0.958 0.468
Pt5 Pt 0.314 0.042 0.968
Pt6 Pt 0.314 0.458 0.968
Pt7 Pt 0.318 0.750 0.860
Pt8 Pt 0.449 0.250 0.613
Pt9 Pt 0.551 0.750 0.387
Pt10 Pt 0.682 0.250 0.140
Pt11 Pt 0.686 0.542 0.032
Pt12 Pt 0.686 0.958 0.032
Pt13 Pt 0.814 0.042 0.532
Pt14 Pt 0.814 0.458 0.532
Pt15 Pt 0.818 0.750 0.640
Pt16 Pt 0.949 0.250 0.887

Record 18
# r²SCAN Tb2Pt, optimized geometry
# E_form (kJ/mol of formula units): -301
# Space group: Pnma, No. 62
# Mass density (Mg/m³): 11.31
data_Tb2Pt
_chemical_formula_sum 'Tb8 Pt4'
_cell_length_a 7.146
_cell_length_b 4.782
_cell_length_c 8.812
_cell_angle_alpha 90.00
_cell_angle_beta 90.00
_cell_angle_gamma 90.00
_space_group_name_H-M_alt 'P 1'
_space_group_IT_number 1
_space_group_name_Hall 'P 1'
loop_
_atom_site_label
_atom_site_type_symbol
_atom_site_fract_x
_atom_site_fract_y
_atom_site_fract_z
Tb1 Tb 0.008 0.250 0.167
Tb2 Tb 0.143 0.250 0.583
Tb3 Tb 0.357 0.750 0.083
Tb4 Tb 0.492 0.750 0.667
Tb5 Tb 0.508 0.250 0.333
Tb6 Tb 0.643 0.250 0.917
Tb7 Tb 0.857 0.750 0.417
Tb8 Tb 0.992 0.750 0.833
Pt1 Pt 0.241 0.250 0.910
Pt2 Pt 0.259 0.750 0.410
Pt3 Pt 0.741 0.250 0.590
Pt4 Pt 0.759 0.750 0.090

Record 19
# r²SCAN TbPt3, optimized geometry
# E_form (kJ/mol of formula units): -421
# Space group: Pm-3m, No. 221
# Mass density (Mg/m³): 17.86
data_TbPt3
_chemical_formula_sum 'Tb1 Pt3'
_cell_length_a 4.105
_cell_length_b 4.105
_cell_length_c 4.105
_cell_angle_alpha 90.00
_cell_angle_beta 90.00
_cell_angle_gamma 90.00
_space_group_name_H-M_alt 'P 1'
_space_group_IT_number 1
_space_group_name_Hall 'P 1'
loop_
_atom_site_label
_atom_site_type_symbol
_atom_site_fract_x
_atom_site_fract_y
_atom_site_fract_z
Tb1 Tb 0.000 0.000 0.000
Pt1 Pt 0.000 0.500 0.500
Pt2 Pt 0.500 0.000 0.500
Pt3 Pt 0.500 0.500 0.000

Record 20
# r²SCAN TbPt, optimized geometry
# E_form (kJ/mol of formula units): -270
# Space group: Pnma, No. 62
# Mass density (Mg/m³): 13.30
data_TbPt
_chemical_formula_sum 'Tb4 Pt4'
_cell_length_a 7.051
_cell_length_b 4.514
_cell_length_c 5.555
_cell_angle_alpha 90.00
_cell_angle_beta 90.00
_cell_angle_gamma 90.00
_space_group_name_H-M_alt 'P 1'
_space_group_IT_number 1
_space_group_name_Hall 'P 1'
loop_
_atom_site_label
_atom_site_type_symbol
_atom_site_fract_x
_atom_site_fract_y
_atom_site_fract_z
Tb1 Tb 0.182 0.250 0.140
Tb2 Tb 0.318 0.750 0.640
Tb3 Tb 0.682 0.250 0.360
Tb4 Tb 0.818 0.750 0.860
Pt1 Pt 0.043 0.250 0.655
Pt2 Pt 0.457 0.750 0.155
Pt3 Pt 0.543 0.250 0.845
Pt4 Pt 0.957 0.750 0.345